Computed, not measured: Nb3In after structural relaxation at the meta-GGA r2SCAN level of DFT.

Output
ρ	8555	kg/m³
formation energy from the elements	-10	meV/atom
space group	Cmmm (65)

Cell lengths 2.9027, 2.9027, 9.4529 Å; angles 90.00, 90.00, 106.46 degrees
Sites, in units of the cell vectors:
Nb (0.0000, 0.0000, 0.0000)
Nb (0.5000, 0.5000, 0.2433)
Nb (0.5000, 0.5000, 0.7567)
In (0.0000, 0.0000, 0.5000)


Computed, not measured: CuBiO2 after structural relaxation at the meta-GGA r2SCAN level of DFT.

Output
ρ	7876	kg/m³
formation energy from the elements	-998	meV/atom
space group	P2_1/m (11)

Cell lengths 6.0675, 3.5724, 6.6327 Å; angles 90.00, 116.73, 90.00 degrees
Sites, in units of the cell vectors:
Cu (0.0290, 0.2500, 0.1621)
Cu (0.9710, 0.7500, 0.8379)
Bi (0.4221, 0.2500, 0.7313)
Bi (0.5779, 0.7500, 0.2687)
O (0.3003, 0.7500, 0.9174)
O (0.3664, 0.2500, 0.3023)
O (0.6336, 0.7500, 0.6977)
O (0.6997, 0.2500, 0.0826)